# KSrBiWO6 | Materials Project | PBE with a Hubbard U | relaxed
data_KSrBiWO6
_chemical_formula_sum 'K4 Sr4 Bi4 W4 O24'
_symmetry_space_group_name_H-M 'P 1'
_symmetry_Int_Tables_number 1
_symmetry_space_group_name_Hall 'P 1'
_cell_length_a 8.492
_cell_length_b 8.509
_cell_length_c 8.483
_cell_angle_alpha 90.00
_cell_angle_beta 90.00
_cell_angle_gamma 90.00
loop_
_atom_site_label
_atom_site_type_symbol
_atom_site_fract_x
_atom_site_fract_y
_atom_site_fract_z
_atom_site_occupancy
O1 O 0.724 0.978 0.211 1
O2 O 0.023 0.222 0.274 1
Sr1 Sr 0.500 0.000 0.000 1
O3 O 0.724 0.022 0.789 1
O4 O 0.776 0.478 0.711 1
K1 K 0.500 0.500 0.000 1
K2 K 0.000 0.500 0.000 1
Sr2 Sr 0.000 0.500 0.500 1
O5 O 0.977 0.778 0.274 1
O6 O 0.224 0.478 0.289 1
O7 O 0.276 0.978 0.789 1
O8 O 0.224 0.522 0.711 1
O9 O 0.023 0.778 0.726 1
O10 O 0.780 0.268 0.976 1
Bi1 Bi 0.750 0.750 0.750 1
O11 O 0.477 0.722 0.774 1
O12 O 0.280 0.232 0.476 1
Sr3 Sr 0.500 0.500 0.500 1
K3 K 0.000 0.000 0.500 1
O13 O 0.276 0.022 0.211 1
O14 O 0.523 0.278 0.774 1
Bi2 Bi 0.250 0.750 0.250 1
O15 O 0.720 0.768 0.476 1
O16 O 0.220 0.732 0.976 1
O17 O 0.280 0.768 0.524 1
O18 O 0.720 0.232 0.524 1
W1 W 0.250 0.750 0.750 1
O19 O 0.780 0.732 0.024 1
K4 K 0.500 0.000 0.500 1
Sr4 Sr 0.000 0.000 0.000 1
O20 O 0.977 0.222 0.726 1
O21 O 0.776 0.522 0.289 1
Bi3 Bi 0.250 0.250 0.750 1
Bi4 Bi 0.750 0.250 0.250 1
W2 W 0.250 0.250 0.250 1
O22 O 0.477 0.278 0.226 1
O23 O 0.523 0.722 0.226 1
W3 W 0.750 0.750 0.250 1
W4 W 0.750 0.250 0.750 1
O24 O 0.220 0.268 0.024 1
# Energy above the most stable polymorph in this dataset = 0.000 eV per atom
# Formation energy from the elements = -2308 meV/atom
# Magnetization = 0.00 μB per cell
# V = 153.3 Å³/f.u.
# E_tot = -255.4 eV per cell
# Symmetry = Pnnn (48)

# LaMn8Bi3O20 | Materials Project | PBE with a Hubbard U | relaxed
data_LaMn8Bi3O20
_chemical_formula_sum 'La1 Mn8 Bi3 O20'
_symmetry_space_group_name_H-M 'P 1'
_symmetry_Int_Tables_number 1
_symmetry_space_group_name_Hall 'P 1'
_cell_length_a 5.866
_cell_length_b 7.669
_cell_length_c 8.678
_cell_angle_alpha 89.92
_cell_angle_beta 90.00
_cell_angle_gamma 90.00
loop_
_atom_site_label
_atom_site_type_symbol
_atom_site_fract_x
_atom_site_fract_y
_atom_site_fract_z
_atom_site_occupancy
O1 O 0.000 0.844 0.556 1
O2 O 0.748 0.106 0.702 1
O3 O 0.750 0.888 0.298 1
O4 O 0.718 0.000 0.001 1
O5 O 0.500 0.354 0.927 1
O6 O 0.250 0.888 0.298 1
O7 O 0.500 0.646 0.072 1
O8 O 0.248 0.610 0.797 1
Mn1 Mn 0.500 0.597 0.649 1
Mn2 Mn 0.258 0.500 0.001 1
Mn3 Mn 0.258 0.999 0.501 1
O9 O 0.749 0.388 0.202 1
O10 O 0.500 0.852 0.571 1
O11 O 0.500 0.146 0.428 1
O12 O 0.000 0.152 0.442 1
La1 La 0.000 0.357 0.668 1
O13 O 0.282 0.000 0.001 1
O14 O 0.283 0.501 0.500 1
Bi1 Bi 0.000 0.155 0.167 1
Mn4 Mn 0.500 0.091 0.848 1
O15 O 0.000 0.346 0.947 1
O16 O 0.717 0.501 0.500 1
O17 O 0.252 0.106 0.702 1
Bi2 Bi 0.000 0.848 0.835 1
O18 O 0.000 0.656 0.056 1
Bi3 Bi 0.000 0.660 0.332 1
O19 O 0.752 0.610 0.797 1
Mn5 Mn 0.500 0.407 0.349 1
Mn6 Mn 0.742 0.999 0.501 1
O20 O 0.251 0.388 0.202 1
Mn7 Mn 0.500 0.906 0.150 1
Mn8 Mn 0.742 0.500 0.001 1
# Formation energy from the elements = -2071 meV/atom
# Magnetization = 28.00 μB per cell
# V = 390.4 Å³/f.u.
# E_tot = -228.0 eV per cell
# Symmetry = Pm (6)

# LaMn4Bi3O12 | Materials Project | PBE with a Hubbard U | relaxed
data_LaMn4Bi3O12
_chemical_formula_sum 'La1 Mn4 Bi3 O12'
_symmetry_space_group_name_H-M 'P 1'
_symmetry_Int_Tables_number 1
_symmetry_space_group_name_Hall 'P 1'
_cell_length_a 5.505
_cell_length_b 5.983
_cell_length_c 7.691
_cell_angle_alpha 90.00
_cell_angle_beta 90.00
_cell_angle_gamma 89.73
loop_
_atom_site_label
_atom_site_type_symbol
_atom_site_fract_x
_atom_site_fract_y
_atom_site_fract_z
_atom_site_occupancy
Mn1 Mn 0.501 0.998 0.999 1
O1 O 0.210 0.821 0.546 1
O2 O 0.210 0.821 0.954 1
Mn2 Mn 0.001 0.502 0.502 1
Bi1 Bi 0.012 0.070 0.750 1
O3 O 0.292 0.323 0.546 1
Mn3 Mn 0.501 0.998 0.501 1
O4 O 0.400 0.027 0.250 1
Bi2 Bi 0.990 0.931 0.250 1
O5 O 0.900 0.465 0.750 1
O6 O 0.790 0.179 0.452 1
O7 O 0.600 0.970 0.750 1
Mn4 Mn 0.001 0.502 0.998 1
O8 O 0.710 0.680 0.459 1
La1 La 0.515 0.433 0.250 1
O9 O 0.710 0.680 0.041 1
Bi3 Bi 0.490 0.570 0.750 1
O10 O 0.790 0.179 0.048 1
O11 O 0.087 0.528 0.250 1
O12 O 0.292 0.323 0.954 1
# Formation energy from the elements = -2111 meV/atom
# Magnetization = 16.00 μB per cell
# V = 253.3 Å³/f.u.
# E_tot = -139.9 eV per cell
# Symmetry = Pm (6)

# LaMn2BiO6 | Materials Project | PBE with a Hubbard U | relaxed
data_LaMn2BiO6
_chemical_formula_sum 'La2 Mn4 Bi2 O12'
_symmetry_space_group_name_H-M 'P 1'
_symmetry_Int_Tables_number 1
_symmetry_space_group_name_Hall 'P 1'
_cell_length_a 5.550
_cell_length_b 5.914
_cell_length_c 7.724
_cell_angle_alpha 90.00
_cell_angle_beta 90.00
_cell_angle_gamma 90.00
loop_
_atom_site_label
_atom_site_type_symbol
_atom_site_fract_x
_atom_site_fract_y
_atom_site_fract_z
_atom_site_occupancy
O1 O 0.401 0.968 0.250 1
O2 O 0.914 0.521 0.750 1
Mn1 Mn 0.002 0.500 0.002 1
O3 O 0.786 0.817 0.454 1
O4 O 0.284 0.686 0.544 1
Mn2 Mn 0.002 0.500 0.498 1
Mn3 Mn 0.498 0.000 0.002 1
O5 O 0.714 0.317 0.046 1
O6 O 0.216 0.186 0.544 1
La1 La 0.488 0.439 0.750 1
La2 La 0.012 0.939 0.750 1
O7 O 0.586 0.021 0.750 1
Bi1 Bi 0.988 0.068 0.250 1
O8 O 0.099 0.468 0.250 1
O9 O 0.786 0.817 0.046 1
O10 O 0.714 0.317 0.454 1
Mn4 Mn 0.498 0.000 0.498 1
O11 O 0.284 0.686 0.956 1
Bi2 Bi 0.512 0.568 0.250 1
O12 O 0.216 0.186 0.956 1
# Formation energy from the elements = -2409 meV/atom
# Magnetization = 16.00 μB per cell
# V = 126.8 Å³/f.u.
# E_tot = -146.9 eV per cell
# Symmetry = Pmc2_1 (26)

# LaV2BiO8 | Materials Project | PBE with a Hubbard U | relaxed
data_LaV2BiO8
_chemical_formula_sum 'La1 V2 Bi1 O8'
_symmetry_space_group_name_H-M 'P 1'
_symmetry_Int_Tables_number 1
_symmetry_space_group_name_Hall 'P 1'
_cell_length_a 6.214
_cell_length_b 6.214
_cell_length_c 6.214
_cell_angle_alpha 106.21
_cell_angle_beta 106.21
_cell_angle_gamma 116.21
loop_
_atom_site_label
_atom_site_type_symbol
_atom_site_fract_x
_atom_site_fract_y
_atom_site_fract_z
_atom_site_occupancy
O1 O 0.491 0.670 0.821 1
O2 O 0.849 0.670 0.179 1
V1 V 0.750 0.250 0.500 1
O3 O 0.330 0.151 0.821 1
O4 O 0.763 0.082 0.681 1
O5 O 0.330 0.509 0.179 1
O6 O 0.918 0.237 0.319 1
O7 O 0.401 0.082 0.319 1
O8 O 0.918 0.599 0.681 1
Bi1 Bi 0.000 0.000 0.000 1
La1 La 0.250 0.750 0.500 1
V2 V 0.500 0.500 0.000 1
# Formation energy from the elements = -2682 meV/atom
# Magnetization = 0.00 μB per cell
# V = 182.8 Å³/f.u.
# E_tot = -89.9 eV per cell
# Symmetry = I-4m2 (119)

# Li5Mn3Bi2P6O24 | Materials Project | PBE with a Hubbard U | relaxed
data_Li5Mn3Bi2P6O24
_chemical_formula_sum 'Li5 Mn3 Bi2 P6 O24'
_symmetry_space_group_name_H-M 'P 1'
_symmetry_Int_Tables_number 1
_symmetry_space_group_name_Hall 'P 1'
_cell_length_a 8.865
_cell_length_b 8.939
_cell_length_c 8.975
_cell_angle_alpha 119.35
_cell_angle_beta 119.44
_cell_angle_gamma 89.98
loop_
_atom_site_label
_atom_site_type_symbol
_atom_site_fract_x
_atom_site_fract_y
_atom_site_fract_z
_atom_site_occupancy
O1 O 0.908 0.097 0.604 1
P1 P 0.265 0.457 0.206 1
P2 P 0.741 0.548 0.795 1
Li1 Li 0.311 0.841 0.161 1
O2 O 0.378 0.776 0.761 1
O3 O 0.747 0.729 0.801 1
O4 O 0.731 0.750 0.333 1
P3 P 0.241 0.043 0.497 1
Mn1 Mn 0.533 0.844 0.684 1
O5 O 0.228 0.038 0.312 1
O6 O 0.559 0.400 0.607 1
O7 O 0.244 0.280 0.204 1
O8 O 0.070 0.903 0.408 1
P4 P 0.224 0.746 0.784 1
O9 O 0.452 0.602 0.393 1
Li2 Li 0.745 0.648 0.505 1
O10 O 0.922 0.294 0.392 1
O11 O 0.417 0.016 0.622 1
Bi1 Bi 0.985 0.010 0.001 1
O12 O 0.908 0.504 0.798 1
O13 O 0.742 0.091 0.006 1
O14 O 0.253 0.244 0.642 1
P5 P 0.746 0.249 0.196 1
O15 O 0.263 0.390 0.006 1
Li3 Li 0.306 0.325 0.473 1
O16 O 0.750 0.920 0.658 1
O17 O 0.252 0.613 0.857 1
P6 P 0.737 0.947 0.490 1
Mn2 Mn 0.960 0.653 0.310 1
O18 O 0.105 0.524 0.200 1
O19 O 0.236 0.925 0.966 1
Bi2 Bi 0.511 0.504 0.995 1
Mn3 Mn 0.037 0.341 0.686 1
O20 O 0.570 0.203 0.179 1
O21 O 0.559 0.972 0.367 1
Li4 Li 0.512 0.177 0.349 1
O22 O 0.033 0.681 0.589 1
Li5 Li 0.320 0.149 0.992 1
O23 O 0.746 0.419 0.178 1
O24 O 0.752 0.594 0.993 1
# Formation energy from the elements = -2477 meV/atom
# Magnetization = 14.00 μB per cell
# V = 512.0 Å³/f.u.
# E_tot = -273.6 eV per cell
# Symmetry = P1 (1)

# Li2Ni2BiO6 | Materials Project | PBE with a Hubbard U | relaxed
data_Li2Ni2BiO6
_chemical_formula_sum 'Li4 Ni4 Bi2 O12'
_symmetry_space_group_name_H-M 'P 1'
_symmetry_Int_Tables_number 1
_symmetry_space_group_name_Hall 'P 1'
_cell_length_a 5.312
_cell_length_b 5.313
_cell_length_c 10.177
_cell_angle_alpha 90.06
_cell_angle_beta 90.06
_cell_angle_gamma 119.24
loop_
_atom_site_label
_atom_site_type_symbol
_atom_site_fract_x
_atom_site_fract_y
_atom_site_fract_z
_atom_site_occupancy
Ni1 Ni 0.839 0.160 0.500 1
Li1 Li 0.352 0.850 0.250 1
O1 O 0.865 0.834 0.399 1
O2 O 0.166 0.135 0.601 1
O3 O 0.470 0.830 0.607 1
O4 O 0.330 0.969 0.893 1
Bi1 Bi 0.992 0.008 0.000 1
O5 O 0.521 0.163 0.384 1
Bi2 Bi 0.508 0.492 0.500 1
O6 O 0.664 0.022 0.116 1
O7 O 0.170 0.530 0.393 1
O8 O 0.978 0.336 0.884 1
O9 O 0.634 0.665 0.899 1
Ni2 Ni 0.331 0.669 0.000 1
Li2 Li 0.850 0.352 0.250 1
Li3 Li 0.648 0.150 0.750 1
Ni3 Ni 0.169 0.831 0.500 1
Li4 Li 0.150 0.648 0.750 1
O10 O 0.335 0.366 0.101 1
Ni4 Ni 0.660 0.340 0.000 1
O11 O 0.837 0.479 0.616 1
O12 O 0.031 0.670 0.107 1
# Energy above the most stable polymorph in this dataset = 0.000 eV per atom
# Formation energy from the elements = -1486 meV/atom
# Magnetization = 0.00 μB per cell
# V = 125.3 Å³/f.u.
# E_tot = -112.2 eV per cell
# Symmetry = C2 (5)

# Li2Ni3BiO8 | Materials Project | PBE with a Hubbard U | relaxed
data_Li2Ni3BiO8
_chemical_formula_sum 'Li8 Ni12 Bi4 O32'
_symmetry_space_group_name_H-M 'P 1'
_symmetry_Int_Tables_number 1
_symmetry_space_group_name_Hall 'P 1'
_cell_length_a 8.441
_cell_length_b 8.441
_cell_length_c 8.441
_cell_angle_alpha 90.00
_cell_angle_beta 90.00
_cell_angle_gamma 90.00
loop_
_atom_site_label
_atom_site_type_symbol
_atom_site_fract_x
_atom_site_fract_y
_atom_site_fract_z
_atom_site_occupancy
O1 O 0.155 0.867 0.123 1
O2 O 0.865 0.865 0.865 1
Li1 Li 0.250 0.250 0.250 1
O3 O 0.877 0.655 0.633 1
Li2 Li 0.750 0.750 0.250 1
O4 O 0.385 0.385 0.385 1
Li3 Li 0.500 0.000 0.500 1
O5 O 0.635 0.135 0.365 1
O6 O 0.133 0.623 0.345 1
Bi1 Bi 0.625 0.625 0.625 1
O7 O 0.615 0.885 0.115 1
O8 O 0.867 0.123 0.155 1
Li4 Li 0.000 0.000 0.000 1
Ni1 Ni 0.375 0.615 0.365 1
Bi2 Bi 0.125 0.875 0.375 1
Ni2 Ni 0.115 0.135 0.625 1
O9 O 0.627 0.117 0.905 1
O10 O 0.905 0.627 0.117 1
Ni3 Ni 0.865 0.125 0.385 1
O11 O 0.633 0.877 0.655 1
Bi3 Bi 0.875 0.375 0.125 1
Li5 Li 0.000 0.500 0.500 1
O12 O 0.655 0.633 0.877 1
O13 O 0.885 0.115 0.615 1
O14 O 0.135 0.365 0.635 1
O15 O 0.373 0.617 0.595 1
O16 O 0.623 0.345 0.133 1
Ni4 Ni 0.125 0.385 0.865 1
O17 O 0.383 0.095 0.127 1
O18 O 0.377 0.845 0.367 1
O19 O 0.845 0.367 0.377 1
Ni5 Ni 0.635 0.875 0.885 1
O20 O 0.127 0.383 0.095 1
O21 O 0.345 0.133 0.623 1
Ni6 Ni 0.365 0.375 0.615 1
Ni7 Ni 0.625 0.115 0.135 1
Ni8 Ni 0.135 0.625 0.115 1
Bi4 Bi 0.375 0.125 0.875 1
Ni9 Ni 0.615 0.365 0.375 1
Ni10 Ni 0.385 0.865 0.125 1
O22 O 0.115 0.615 0.885 1
O23 O 0.123 0.155 0.867 1
O24 O 0.367 0.377 0.845 1
O25 O 0.617 0.595 0.373 1
O26 O 0.595 0.373 0.617 1
O27 O 0.405 0.873 0.883 1
Ni11 Ni 0.885 0.635 0.875 1
Li6 Li 0.500 0.500 0.000 1
O28 O 0.117 0.905 0.627 1
O29 O 0.365 0.635 0.135 1
Li7 Li 0.250 0.750 0.750 1
O30 O 0.873 0.883 0.405 1
Ni12 Ni 0.875 0.885 0.635 1
O31 O 0.095 0.127 0.383 1
O32 O 0.883 0.405 0.873 1
Li8 Li 0.750 0.250 0.750 1
# Energy above the most stable polymorph in this dataset = 0.007 eV per atom
# Formation energy from the elements = -1355 meV/atom
# Magnetization = 12.00 μB per cell
# V = 150.3 Å³/f.u.
# E_tot = -281.9 eV per cell
# Symmetry = P4_332 (212)

- What is the magnetization in the fourth record?
  16.00 μB per cell

- Which of these has the lowest E_tot?
  Li2Ni3BiO8

- Which of these has the lowest formation energy from the elements?
  LaV2BiO8

- E_tot of number 7 (Li2Ni2BiO6)?
  -112.2 eV per cell